The following is a DFT calculation (PBE) of Na2Sr2Nb4O13 after structural relaxation.

Cell and atoms, written as CIF:
```
data_Na2Sr2Nb4O13
_chemical_formula_sum 'Na2 Sr2 Nb4 O13'
_cell_length_a 7.5567
_cell_length_b 7.5567
_cell_length_c 7.5567
_cell_angle_alpha 120.13
_cell_angle_beta 119.70
_cell_angle_gamma 90.14
_space_group_name_H-M_alt 'P 1'
_space_group_IT_number 1
_space_group_name_Hall 'P 1'
loop_
_atom_site_label
_atom_site_fract_x
_atom_site_fract_y
_atom_site_fract_z
_atom_site_occupancy
O1 0.3161 0.8192 0.8869 1
O2 0.1901 0.1860 0.6248 1
O3 0.9348 0.4348 0.5000 1
O4 0.9323 0.8192 0.5031 1
O5 0.5612 0.1860 0.9959 1
O6 0.8779 0.8779 0.0000 1
O7 0.9323 0.4293 0.1131 1
O8 0.1901 0.5653 0.0041 1
O9 0.3204 0.8204 0.5000 1
O10 0.1833 0.1833 0.0000 1
O11 0.3161 0.4293 0.4969 1
O12 0.5592 0.5592 0.0000 1
O13 0.5612 0.5653 0.3752 1
Na1 0.7583 0.5284 0.7701 1
Na2 0.7583 0.9881 0.2299 1
Sr1 0.2302 0.9913 0.2388 1
Sr2 0.7525 0.9913 0.7612 1
Nb1 0.2501 0.5005 0.7496 1
Nb2 0.2499 0.4993 0.2494 1
Nb3 0.2499 0.0005 0.7506 1
Nb4 0.7510 0.5005 0.2504 1
```

* SG: Imm2
* size of the total moment: 0.00 Bohr magnetons per cell
* calculated formation energy: -2.98 eV/atom

The following is a DFT calculation (PBE) of Na3Sr7Ti7Nb3O30 after structural relaxation.

Cell and atoms, written as CIF:
```
data_Na3Sr7Ti7Nb3O30
_chemical_formula_sum 'Na6 Sr14 Ti14 Nb6 O60'
_cell_length_a 6.8630
_cell_length_b 6.8740
_cell_length_c 28.3608
_cell_angle_alpha 94.60
_cell_angle_beta 94.66
_cell_angle_gamma 109.46
_space_group_name_H-M_alt 'P 1'
_space_group_IT_number 1
_space_group_name_Hall 'P 1'
loop_
_atom_site_label
_atom_site_fract_x
_atom_site_fract_y
_atom_site_fract_z
_atom_site_occupancy
Nb1 0.4005 0.8994 0.7998 1
Nb2 0.8000 0.2999 0.5999 1
Nb3 0.8034 0.8025 0.1012 1
Nb4 0.1993 0.7004 0.3998 1
Nb5 0.0027 0.4955 0.9992 1
Nb6 0.5967 0.1044 0.2015 1
O1 0.3042 0.0531 0.8507 1
O2 0.2530 0.0019 0.7493 1
O3 0.1510 0.1505 0.3010 1
O4 0.0025 0.7466 0.2508 1
O5 0.7977 0.5456 0.8506 1
O6 0.4042 0.1505 0.0500 1
O7 0.0532 0.8016 0.3491 1
O8 0.7510 0.7504 0.5012 1
O9 0.0493 0.5535 0.6001 1
O10 0.3466 0.5986 0.4509 1
O11 0.8964 0.1465 0.5495 1
O12 0.6952 0.9526 0.1493 1
O13 0.4023 0.6549 0.5499 1
O14 0.3478 0.8489 0.1996 1
O15 0.6494 0.6501 0.3001 1
O16 0.1526 0.4033 0.0507 1
O17 0.4963 0.7464 0.7495 1
O18 0.2479 0.5036 0.2511 1
O19 0.0024 0.2549 0.7499 1
O20 0.8990 0.6466 0.0501 1
O21 0.8483 0.5960 0.9492 1
O22 0.6493 0.1534 0.8001 1
O23 0.9532 0.6950 0.1490 1
O24 0.0520 0.0524 0.0998 1
O25 0.2492 0.2498 0.4992 1
O26 0.6530 0.4019 0.5492 1
O27 0.1022 0.3509 0.9491 1
O28 0.9507 0.4466 0.4003 1
O29 0.5509 0.0467 0.6003 1
O30 0.5465 0.7986 0.8508 1
O31 0.9509 0.9502 0.8999 1
O32 0.8020 0.0551 0.3498 1
O33 0.2960 0.5467 0.3493 1
O34 0.4515 0.1969 0.1484 1
O35 0.7483 0.0026 0.2514 1
O36 0.1984 0.4511 0.1484 1
O37 0.3540 0.1008 0.9493 1
O38 0.1975 0.9460 0.6507 1
O39 0.3510 0.3504 0.7012 1
O40 0.1484 0.8948 0.5496 1
O41 0.1509 0.6467 0.8003 1
O42 0.4493 0.4497 0.9001 1
O43 0.2537 0.7482 0.9999 1
O44 0.8516 0.3504 0.1994 1
O45 0.7465 0.2516 0.0001 1
O46 0.8523 0.1049 0.4508 1
O47 0.5975 0.3459 0.4506 1
O48 0.6456 0.8991 0.0504 1
O49 0.1041 0.8532 0.4507 1
O50 0.4524 0.7049 0.6509 1
O51 0.9467 0.1987 0.6510 1
O52 0.7041 0.4532 0.6507 1
O53 0.7484 0.4948 0.7496 1
O54 0.4495 0.9537 0.4001 1
O55 0.5475 0.5467 0.0986 1
O56 0.5016 0.2510 0.2515 1
O57 0.0524 0.3047 0.8509 1
O58 0.8492 0.8498 0.6992 1
O59 0.5482 0.2949 0.3495 1
O60 0.5966 0.8485 0.9494 1
Sr1 0.4998 0.9998 0.4998 1
Sr2 0.1990 0.7011 0.8997 1
Sr3 0.4986 0.4978 0.9988 1
Sr4 0.4003 0.4003 0.8001 1
Sr5 0.1995 0.1995 0.3995 1
Sr6 0.6000 0.1000 0.6998 1
Sr7 0.8992 0.4002 0.2999 1
Sr8 0.3009 0.8017 0.1007 1
Sr9 0.0000 0.5000 0.4998 1
Sr10 0.7006 0.1986 0.8997 1
Sr11 0.0998 0.5998 0.6998 1
Sr12 0.7999 0.7999 0.5998 1
Sr13 0.8002 0.2996 0.1007 1
Sr14 0.4007 0.8996 0.2999 1
Ti1 0.2996 0.7996 0.5992 1
Ti2 0.1048 0.5976 0.2027 1
Ti3 0.9990 0.0005 0.4995 1
Ti4 0.1006 0.0990 0.6995 1
Ti5 0.7035 0.7034 0.9001 1
Ti6 0.5989 0.6004 0.6995 1
Ti7 0.2993 0.3030 0.1024 1
Ti8 0.7003 0.1989 0.3992 1
Ti9 0.4939 0.0042 0.9993 1
Ti10 0.1950 0.1962 0.8985 1
Ti11 0.4022 0.4018 0.3003 1
Ti12 0.5004 0.4989 0.4994 1
Ti13 0.8978 0.8975 0.2986 1
Ti14 0.8990 0.4003 0.7992 1
Na1 0.7000 0.7001 0.3998 1
Na2 0.0009 0.0006 0.9995 1
Na3 0.5993 0.5996 0.2010 1
Na4 0.8997 0.8997 0.7997 1
Na5 0.1015 0.1019 0.2012 1
Na6 0.2999 0.2999 0.5998 1
```

* SG: P1
* size of the total moment: 0.00 Bohr magnetons per cell
* calculated formation energy: -3.32 eV/atom

The following is a DFT calculation (PBE) of Na3TbTi2Nb2O12 after structural relaxation.

Cell and atoms, written as CIF:
```
data_Na3TbTi2Nb2O12
_chemical_formula_sum 'Na3 Tb1 Ti2 Nb2 O12'
_cell_length_a 5.4440
_cell_length_b 5.5947
_cell_length_c 7.7812
_cell_angle_alpha 89.86
_cell_angle_beta 89.93
_cell_angle_gamma 89.27
_space_group_name_H-M_alt 'P 1'
_space_group_IT_number 1
_space_group_name_Hall 'P 1'
loop_
_atom_site_label
_atom_site_fract_x
_atom_site_fract_y
_atom_site_fract_z
_atom_site_occupancy
O1 0.9190 0.4878 0.7470 1
O2 0.7230 0.7325 0.4480 1
O3 0.8038 0.2117 0.4470 1
O4 0.4046 0.0295 0.2462 1
O5 0.2049 0.8036 0.9773 1
O6 0.2031 0.8023 0.5240 1
O7 0.0764 0.5286 0.2532 1
O8 0.7193 0.7345 0.0528 1
O9 0.2993 0.2995 0.9613 1
O10 0.2925 0.3030 0.5364 1
O11 0.5664 0.9830 0.7533 1
O12 0.8010 0.2096 0.0536 1
Na1 0.5077 0.4646 0.2501 1
Na2 0.4914 0.5286 0.7485 1
Na3 0.0040 0.0195 0.7497 1
Ti1 0.0043 0.4754 0.4923 1
Ti2 0.4900 0.9816 0.0090 1
Tb1 0.9914 0.9352 0.2502 1
Nb1 0.0035 0.4768 0.9876 1
Nb2 0.4944 0.9925 0.5124 1
```

* SG: P1
* size of the total moment: 0.00 Bohr magnetons per cell
* calculated formation energy: -3.14 eV/atom
* offset from the most stable computed form: 5 meV per atom

The following is a DFT calculation (PBE) of Na3TbTi2Nb2O12 after structural relaxation.

Cell and atoms, written as CIF:
```
data_Na3TbTi2Nb2O12
_chemical_formula_sum 'Na6 Tb2 Ti4 Nb4 O24'
_cell_length_a 5.4858
_cell_length_b 5.6353
_cell_length_c 15.4753
_cell_angle_alpha 90.00
_cell_angle_beta 90.00
_cell_angle_gamma 90.00
_space_group_name_H-M_alt 'P 1'
_space_group_IT_number 1
_space_group_name_Hall 'P 1'
loop_
_atom_site_label
_atom_site_fract_x
_atom_site_fract_y
_atom_site_fract_z
_atom_site_occupancy
O1 0.7783 0.7687 0.5193 1
O2 0.7948 0.7799 0.0316 1
O3 0.2152 0.2105 0.4767 1
O4 0.2045 0.1959 0.2604 1
O5 0.9239 0.5076 0.3702 1
O6 0.5761 0.0076 0.8798 1
O7 0.9239 0.5076 0.8798 1
O8 0.7217 0.2687 0.5193 1
O9 0.7783 0.7687 0.7307 1
O10 0.7217 0.2687 0.7307 1
O11 0.7052 0.2799 0.0316 1
O12 0.2955 0.6959 0.9896 1
O13 0.2045 0.1959 0.9896 1
O14 0.2152 0.2105 0.7733 1
O15 0.0812 0.4797 0.6250 1
O16 0.4188 0.9797 0.6250 1
O17 0.7052 0.2799 0.2184 1
O18 0.2848 0.7105 0.4767 1
O19 0.0921 0.4642 0.1250 1
O20 0.2848 0.7105 0.7733 1
O21 0.7948 0.7799 0.2184 1
O22 0.4079 0.9642 0.1250 1
O23 0.5761 0.0076 0.3702 1
O24 0.2955 0.6959 0.2604 1
Na1 0.5133 0.5269 0.6250 1
Na2 0.9867 0.0269 0.6250 1
Na3 0.4954 0.4791 0.8793 1
Na4 0.0046 0.9791 0.3707 1
Na5 0.4954 0.4791 0.3707 1
Na6 0.0046 0.9791 0.8793 1
Nb1 0.0037 0.5147 0.4980 1
Nb2 0.0037 0.5147 0.7520 1
Nb3 0.4963 0.0147 0.7520 1
Nb4 0.4963 0.0147 0.4980 1
Ti1 0.4911 0.0266 0.2516 1
Ti2 0.0089 0.5266 0.2516 1
Ti3 0.4911 0.0266 0.9984 1
Ti4 0.0089 0.5266 0.9984 1
Tb1 0.5090 0.5634 0.1250 1
Tb2 0.9910 0.0634 0.1250 1
```

* SG: Pmc2_1
* size of the total moment: 0.00 Bohr magnetons per cell
* calculated formation energy: -3.14 eV/atom
* offset from the most stable computed form: 0 meV per atom

The following is a DFT calculation (PBE) of NaNb3Te4O16 after structural relaxation.

Cell and atoms, written as CIF:
```
data_NaNb3Te4O16
_chemical_formula_sum 'Na2 Nb6 Te8 O32'
_cell_length_a 7.5556
_cell_length_b 6.7126
_cell_length_c 14.4271
_cell_angle_alpha 77.91
_cell_angle_beta 90.00
_cell_angle_gamma 90.00
_space_group_name_H-M_alt 'P 1'
_space_group_IT_number 1
_space_group_name_Hall 'P 1'
loop_
_atom_site_label
_atom_site_fract_x
_atom_site_fract_y
_atom_site_fract_z
_atom_site_occupancy
O1 0.7500 0.3461 0.4230 1
O2 0.9425 0.1234 0.5741 1
O3 0.4465 0.7810 0.7180 1
O4 0.9669 0.9526 0.1421 1
O5 0.0535 0.7810 0.7180 1
O6 0.5535 0.2190 0.2820 1
O7 0.7500 0.3875 0.1275 1
O8 0.5331 0.9526 0.1421 1
O9 0.0608 0.6210 0.2950 1
O10 0.2500 0.1434 0.6892 1
O11 0.0575 0.8766 0.4259 1
O12 0.4669 0.0474 0.8579 1
O13 0.2500 0.9203 0.0191 1
O14 0.5608 0.3790 0.7050 1
O15 0.4407 0.2970 0.9951 1
O16 0.0331 0.0474 0.8579 1
O17 0.7500 0.8566 0.3108 1
O18 0.7500 0.9902 0.7390 1
O19 0.9392 0.3790 0.7050 1
O20 0.7500 0.0797 0.9809 1
O21 0.5575 0.1234 0.5741 1
O22 0.7500 0.6879 0.5810 1
O23 0.0593 0.2970 0.9951 1
O24 0.9465 0.2190 0.2820 1
O25 0.4425 0.8766 0.4259 1
O26 0.5593 0.7030 0.0049 1
O27 0.9407 0.7030 0.0049 1
O28 0.2500 0.0098 0.2610 1
O29 0.2500 0.3121 0.4190 1
O30 0.2500 0.6539 0.5770 1
O31 0.4392 0.6210 0.2950 1
O32 0.2500 0.6125 0.8725 1
Te1 0.7500 0.5743 0.7106 1
Te2 0.2500 0.5957 0.7213 1
Te3 0.7500 0.4043 0.2787 1
Te4 0.7500 0.0525 0.5017 1
Te5 0.2500 0.4257 0.2894 1
Te6 0.2500 0.4892 0.9993 1
Te7 0.7500 0.5108 0.0007 1
Te8 0.2500 0.9475 0.4983 1
Nb1 0.5000 0.0000 0.0000 1
Nb2 0.0000 0.0000 0.0000 1
Nb3 0.5002 0.9230 0.2736 1
Nb4 0.0002 0.0770 0.7264 1
Nb5 0.4998 0.0770 0.7264 1
Nb6 0.9998 0.9230 0.2736 1
Na1 0.0000 0.5000 0.5000 1
Na2 0.5000 0.5000 0.5000 1
```

* SG: P2_1/m
* size of the total moment: 0.00 Bohr magnetons per cell
* calculated formation energy: -2.23 eV/atom

The following is a DFT calculation (PBE) of Na3TmTi2Nb2O12 after structural relaxation.

Cell and atoms, written as CIF:
```
data_Na3TmTi2Nb2O12
_chemical_formula_sum 'Na3 Tm1 Ti2 Nb2 O12'
_cell_length_a 5.4128
_cell_length_b 5.5809
_cell_length_c 7.7404
_cell_angle_alpha 89.86
_cell_angle_beta 89.98
_cell_angle_gamma 89.32
_space_group_name_H-M_alt 'P 1'
_space_group_IT_number 1
_space_group_name_Hall 'P 1'
loop_
_atom_site_label
_atom_site_fract_x
_atom_site_fract_y
_atom_site_fract_z
_atom_site_occupancy
Tm1 0.9886 0.9315 0.2503 1
O1 0.5712 0.9830 0.7531 1
O2 0.7231 0.7297 0.4456 1
O3 0.8091 0.2058 0.4430 1
O4 0.2943 0.3036 0.5387 1
O5 0.3012 0.2994 0.9598 1
O6 0.3931 0.0277 0.2467 1
O7 0.8062 0.2035 0.0579 1
O8 0.2043 0.8036 0.9737 1
O9 0.9160 0.4847 0.7473 1
O10 0.7188 0.7333 0.0549 1
O11 0.2017 0.8013 0.5273 1
O12 0.0794 0.5351 0.2530 1
Na1 0.5087 0.4608 0.2499 1
Na2 0.0053 0.0258 0.7495 1
Na3 0.4895 0.5361 0.7487 1
Ti1 0.4894 0.9841 0.0068 1
Ti2 0.0032 0.4784 0.4935 1
Nb1 0.4936 0.9946 0.5104 1
Nb2 0.0032 0.4781 0.9898 1
```

* SG: P1
* size of the total moment: 0.00 Bohr magnetons per cell
* calculated formation energy: -3.14 eV/atom
* offset from the most stable computed form: 5 meV per atom